Compound: Na3LaTi2Nb2O12
Source: the Materials Project
Functional: PBE
Structure: optimized geometry

Calculated values
final energy	-7.930	eV per atom
space-group type	P2/c
energy relative to the elements	-3.1290	eV/atom

Geometry as CIF:
```
data_Na3LaTi2Nb2O12
_chemical_formula_sum 'Na6 La2 Ti4 Nb4 O24'
_space_group_name_H-M_alt 'P 1'
_space_group_IT_number 1
_space_group_name_Hall 'P 1'
_cell_length_a 7.9274
_cell_length_b 7.7805
_cell_length_c 11.0411
_cell_angle_alpha 45.22
_cell_angle_beta 90.00
_cell_angle_gamma 90.00
loop_
_atom_site_label
_atom_site_fract_x
_atom_site_fract_y
_atom_site_fract_z
Na1 0.2453 0.5000 0.2500
Na2 0.7488 0.5000 0.2500
Na3 0.2512 0.5000 0.7500
Na4 0.7547 0.5000 0.7500
Na5 0.7583 0.0000 0.7500
Na6 0.2417 0.0000 0.2500
La1 0.2585 0.0000 0.7500
La2 0.7415 0.0000 0.2500
Ti1 0.5000 0.0000 0.0000
Ti2 0.5000 0.0000 0.5000
Ti3 0.0000 0.5000 0.5000
Ti4 0.0000 0.5000 0.0000
Nb1 0.5000 0.5000 0.5000
Nb2 0.5000 0.5000 0.0000
Nb3 0.0000 0.0000 0.0000
Nb4 0.0000 0.0000 0.5000
O1 0.2479 0.4684 0.4988
O2 0.2526 0.0340 0.4990
O3 0.4812 0.8068 0.4457
O4 0.5166 0.7103 0.2479
O5 0.5166 0.2897 0.2521
O6 0.4812 0.1932 0.0543
O7 0.5188 0.8068 0.9457
O8 0.4834 0.7103 0.7479
O9 0.4834 0.2897 0.7521
O10 0.7474 0.0340 0.9990
O11 0.7521 0.4684 0.9988
O12 0.5188 0.1932 0.5543
O13 0.0231 0.2961 0.9560
O14 0.7474 0.9660 0.5010
O15 0.7521 0.5316 0.5012
O16 0.0061 0.1988 0.7476
O17 0.0061 0.8012 0.7524
O18 0.0231 0.7039 0.5440
O19 0.9769 0.2961 0.4560
O20 0.9939 0.1988 0.2476
O21 0.9939 0.8012 0.2524
O22 0.9769 0.7039 0.0440
O23 0.2479 0.5316 0.0012
O24 0.2526 0.9660 0.0010
```